1.
LiNb2Te4Cl10O | PBE | optimized geometry

As for the energy of formation: -1.103 eV per atom. The crystal system is triclinic. The energy above the most stable polymorph in this dataset comes out at 14 meV per atom. The calculation puts the MP2020-corrected energy at -4.33 eV per atom. For the total magnetization, the calculation gives 1.01 Bohr magnetons per cell. Its total DFT energy (no corrections) is -4.293 eV/atom.

```
data_LiNb2Te4Cl10O
_chemical_formula_sum 'Li1 Nb2 Te4 Cl10 O1'
_symmetry_space_group_name_H-M 'P 1'
_symmetry_Int_Tables_number 1
_symmetry_space_group_name_Hall 'P 1'
_cell_length_a 7.008
_cell_length_b 8.910
_cell_length_c 9.505
_cell_angle_alpha 81.32
_cell_angle_beta 88.88
_cell_angle_gamma 74.61
loop_
_atom_site_label
_atom_site_type_symbol
_atom_site_fract_x
_atom_site_fract_y
_atom_site_fract_z
_atom_site_occupancy
Li1 Li 0.000 0.000 0.000 1
Nb1 Nb 0.223 0.362 0.668 1
Nb2 Nb 0.267 0.627 0.943 1
Te1 Te 0.561 0.090 0.150 1
Te2 Te 0.654 0.806 0.330 1
Te3 Te 0.828 0.191 0.300 1
Te4 Te 0.917 0.907 0.479 1
Cl1 Cl 0.064 0.222 0.858 1
Cl2 Cl 0.130 0.490 0.133 1
Cl3 Cl 0.191 0.181 0.511 1
Cl4 Cl 0.279 0.827 0.121 1
Cl5 Cl 0.354 0.516 0.493 1
Cl6 Cl 0.398 0.795 0.777 1
Cl7 Cl 0.537 0.200 0.743 1
Cl8 Cl 0.590 0.481 0.027 1
Cl9 Cl 0.895 0.527 0.601 1
Cl10 Cl 0.934 0.801 0.887 1
O1 O 0.240 0.499 0.811 1
```

=====

2.
Si2H5CNCl4 | PBE | optimized geometry

As for the energy of formation: -0.821 eV per atom. The crystal system is monoclinic. The calculation puts the MP2020-corrected energy at -4.88 eV per atom. For the total magnetization, the calculation gives 0.00 Bohr magnetons per cell. Its total DFT energy (no corrections) is -4.692 eV/atom.

```
data_Si2H5CNCl4
_chemical_formula_sum 'Si8 H20 C4 N4 Cl16'
_symmetry_space_group_name_H-M 'P 1 21/c 1'
_symmetry_Int_Tables_number 14
_symmetry_space_group_name_Hall '-P 2ybc'
_cell_length_a 7.840
_cell_length_b 12.313
_cell_length_c 10.642
_cell_angle_alpha 90.00
_cell_angle_beta 92.12
_cell_angle_gamma 90.00
loop_
_atom_site_label
_atom_site_type_symbol
_atom_site_fract_x
_atom_site_fract_y
_atom_site_fract_z
_atom_site_occupancy
Si1 Si 0.060 0.195 0.203 1
Si2 Si 0.338 0.047 0.306 1
H1 H 0.013 0.672 0.174 1
H2 H 0.221 0.039 0.411 1
H3 H 0.281 0.092 0.992 1
H4 H 0.347 0.226 0.041 1
H5 H 0.476 0.113 0.083 1
C1 C 0.343 0.140 0.069 1
N1 N 0.250 0.127 0.187 1
Cl1 Cl 0.098 0.140 0.685 1
Cl2 Cl 0.112 0.653 0.440 1
Cl3 Cl 0.395 0.605 0.739 1
Cl4 Cl 0.433 0.611 0.128 1
```

=====

3.
Bi2Cl2O | PBE | optimized geometry

As for the energy of formation: -0.375 eV per atom. The crystal system is tetragonal. The calculation puts the MP2020-corrected energy at -3.66 eV per atom. For the total magnetization, the calculation gives 0.00 Bohr magnetons per cell. Its total DFT energy (no corrections) is -3.522 eV/atom.

```
data_Bi2Cl2O
_chemical_formula_sum 'Bi2 Cl2 O1'
_symmetry_space_group_name_H-M 'P 4/m m m'
_symmetry_Int_Tables_number 123
_symmetry_space_group_name_Hall '-P 4 2'
_cell_length_a 3.407
_cell_length_b 3.407
_cell_length_c 12.988
_cell_angle_alpha 90.00
_cell_angle_beta 90.00
_cell_angle_gamma 90.00
loop_
_atom_site_label
_atom_site_type_symbol
_atom_site_fract_x
_atom_site_fract_y
_atom_site_fract_z
_atom_site_occupancy
Bi1 Bi 0.000 0.000 0.165 1
Cl1 Cl 0.000 0.000 0.365 1
O1 O 0.000 0.000 0.000 1
```

=====

4.
CsBiO2 | PBE | optimized geometry

As for the energy of formation: -1.677 eV per atom. The crystal system is monoclinic. The calculation puts the MP2020-corrected energy at -5.35 eV per atom. Its total DFT energy (no corrections) is -5.004 eV/atom.

```
data_CsBiO2
_chemical_formula_sum 'Cs4 Bi4 O8'
_symmetry_space_group_name_H-M 'C 1 2/c 1'
_symmetry_Int_Tables_number 15
_symmetry_space_group_name_Hall '-C 2yc'
_cell_length_a 8.480
_cell_length_b 9.645
_cell_length_c 6.096
_cell_angle_alpha 90.00
_cell_angle_beta 123.26
_cell_angle_gamma 90.00
loop_
_atom_site_label
_atom_site_type_symbol
_atom_site_fract_x
_atom_site_fract_y
_atom_site_fract_z
_atom_site_occupancy
Cs1 Cs 0.000 0.141 0.250 1
Bi1 Bi 0.000 0.418 0.750 1
O1 O 0.177 0.445 0.209 1
```

=====

5.
PrB4Ir2Os2 | PBE | optimized geometry

As for the energy of formation: -0.484 eV per atom. The crystal system is tetragonal. For the total magnetization, the calculation gives 0.07 Bohr magnetons per cell. Its total DFT energy (no corrections) is -8.443 eV/atom.

```
data_PrB4Ir2Os2
_chemical_formula_sum 'Pr2 B8 Ir4 Os4'
_symmetry_space_group_name_H-M 'P 42'
_symmetry_Int_Tables_number 77
_symmetry_space_group_name_Hall 'P 4c'
_cell_length_a 7.667
_cell_length_b 7.667
_cell_length_c 4.005
_cell_angle_alpha 90.00
_cell_angle_beta 90.00
_cell_angle_gamma 90.00
loop_
_atom_site_label
_atom_site_type_symbol
_atom_site_fract_x
_atom_site_fract_y
_atom_site_fract_z
_atom_site_occupancy
Pr1 Pr 0.000 0.500 0.000 1
B1 B 0.161 0.785 0.613 1
B2 B 0.278 0.338 0.393 1
Ir1 Ir 0.345 0.609 0.390 1
Os1 Os 0.108 0.146 0.612 1
```

=====

6.
YInAu | PBE | optimized geometry

As for the energy of formation: -0.754 eV per atom. The crystal system is hexagonal. Its total DFT energy (no corrections) is -4.918 eV/atom.

```
data_YInAu
_chemical_formula_sum 'Y3 In3 Au3'
_symmetry_space_group_name_H-M 'P -6 2 m'
_symmetry_Int_Tables_number 189
_symmetry_space_group_name_Hall 'P -6 -2'
_cell_length_a 7.7467
_cell_length_b 7.7467
_cell_length_c 4.0434
_cell_angle_alpha 90.00
_cell_angle_beta 90.00
_cell_angle_gamma 120.00
loop_
_atom_site_label
_atom_site_type_symbol
_atom_site_fract_x
_atom_site_fract_y
_atom_site_fract_z
_atom_site_occupancy
Y1 Y 0.0000 0.5942 0.0000 1
In1 In 0.0000 0.2592 0.5000 1
Au1 Au 0.0000 0.0000 0.0000 1
Au2 Au 0.3333 0.6667 0.5000 1
```